Record 1
The following is a PBE calculation of an optimized crystal structure of CoSn3, from the Materials Project database.

Calculated values
DFT formation energy = -55 meV per atom

a b c (Å): 6.301 6.301 34.096
angles (deg): 90.00 90.00 90.00
Space group I4_1/acd (No. 142, origin choice 2)
Unique sites:
Co 0.000 0.250 0.335 x16
Sn 0.165 0.085 0.125 x16
Sn 0.180 0.068 0.542 x32

Record 2
The following is a PBE calculation of an optimized crystal structure of Bi3P3O14, from the Materials Project database.

Calculated values
energy with MP2020 corrections = -6.816 eV per atom
DFT formation energy = -1957 meV per atom

a b c (Å): 12.141 7.115 6.515
angles (deg): 90.00 90.31 90.00
Space group C2 (No. 5)
Unique sites:
Bi 0.000 0.000 0.000 x2
Bi 0.235 0.709 0.664 x4
P 0.000 0.037 0.500 x2
P 0.218 0.689 0.166 x4
O 0.054 0.505 0.754 x4
O 0.063 0.915 0.662 x4
O 0.079 0.158 0.369 x4
O 0.115 0.747 0.038 x4
O 0.190 0.156 0.996 x4
O 0.196 0.512 0.299 x4
O 0.249 0.846 0.324 x4

Record 3
The following is a PBE calculation of an optimized crystal structure of GdH18I3O9, from the Materials Project database.

Calculated values
energy with MP2020 corrections = -5.317 eV per atom
DFT formation energy = -1309 meV per atom

a b c (Å): 8.166 11.691 9.049
angles (deg): 90.00 90.00 90.00
Space group Pmmn (No. 59, origin choice 2)
Unique sites:
Gd 0.250 0.250 0.161 x2
H 0.024 0.683 0.628 x8
H 0.028 0.654 0.023 x8
H 0.044 0.587 0.874 x8
H 0.250 0.046 0.400 x4
H 0.250 0.182 0.822 x4
H 0.250 0.514 0.245 x4
I 0.250 0.514 0.676 x4
I 0.250 0.750 0.195 x2
O 0.037 0.125 0.061 x8
O 0.048 0.250 0.362 x4
O 0.250 0.061 0.293 x4
O 0.250 0.250 0.886 x2

Question: What is the DFT formation energy in the third record?
Answer: -1309 meV per atom

Question: Look up the DFT formation energy of the second one.
Answer: -1957 meV per atom